# Nb6Co16Si7

An optimized crystal structure of Nb6Co16Si7 (r²SCAN, the Materials Project database).

The calculation puts the total energy at -14.974 eV/atom. Its formation energy from the elements is -438 meV/atom.

The structure belongs to space group Fm-3m (No. 225); the cell edges are 11.1091, 11.1091 and 11.1091 Å and the angles 90.00°, 90.00° and 90.00°. The inequivalent atoms are Nb at (0.0000, 0.0000, 0.2040), Co at (0.1187, 0.1187, 0.3813), Co at (0.1672, 0.1672, 0.1672), Si at (0.0000, 0.0000, 0.5000) and Si at (0.0000, 0.2500, 0.2500).

***

# GdGa6

An optimized crystal structure of GdGa6 (r²SCAN, the Materials Project database).

The calculation puts the total energy at -16.358 eV/atom. Its formation energy from the elements is -351 meV/atom.

The structure belongs to space group P4/nbm (No. 125, origin choice 2); the cell edges are 5.9422, 5.9422 and 7.5507 Å and the angles 90.00°, 90.00° and 90.00°. The inequivalent atoms are Gd at (0.2500, 0.7500, 0.0000), Ga at (0.0544, 0.5544, 0.3469) and Ga at (0.2500, 0.2500, 0.1600).

***

# Er7Te2Au2

An optimized crystal structure of Er7Te2Au2 (r²SCAN, the Materials Project database).

The calculation puts the total energy at -36.359 eV/atom. Its formation energy from the elements is -951 meV/atom.

The structure belongs to space group C2/m (No. 12); the cell edges are 17.9328, 3.9988 and 16.9987 Å and the angles 90.00°, 104.28° and 90.00°. The inequivalent atoms are Er at (0.0000, 0.0000, 0.0000), Er at (0.0000, 0.5000, 0.5000), Er at (0.0014, 0.0000, 0.3337), Er at (0.0749, 0.5000, 0.1699), Er at (0.1619, 0.5000, 0.9826), Er at (0.1743, 0.0000, 0.5285), Er at (0.1907, 0.0000, 0.3203), Er at (0.2207, 0.0000, 0.8068), Te at (0.0656, 0.0000, 0.8504), Te at (0.1341, 0.5000, 0.6614), Au at (0.1171, 0.5000, 0.3977) and Au at (0.1702, 0.0000, 0.1121).

***

Q: Which formula does entry 1 have?
A: Nb6Co16Si7

***

Q: Among the records above, which one has the highest formation energy from the elements?
A: GdGa6

***

Q: Among the records above, which one has the lowest formation energy from the elements?
A: Er7Te2Au2